Entry 1:
Compound: PrNiC2
Source: the Materials Project
Functional: PBE-GGA
Structure: relaxed

Computed properties:
**Formation enthalpy at 0 K**: -0.94 eV per formula unit

Cell and atoms, written as POSCAR:
```
PrNiC2
1.0
0.982 0.898 3.578
-3.628 -1.182 0.117
1.210 -3.657 0.586
C Pr Ni
2 1 1
Direct
0.546 0.154 0.500
0.846 0.454 0.500
0.998 0.002 0.000
0.385 0.615 0.500
```


Entry 2:
Compound: Pr2Ni22C3
Source: the Materials Project
Functional: PBE-GGA
Structure: relaxed

Computed properties:
**Total magnetization**: 1.07 μB/cell
**Formation enthalpy at 0 K**: -2.88 eV per formula unit

Cell and atoms, written as POSCAR:
```
Pr2Ni22C3
1.0
9.340 0.512 0.989
-3.474 -0.518 8.726
0.856 -14.589 -0.525
Ni Pr C
88 8 12
Direct
0.552 0.703 0.369
0.590 0.968 0.452
0.000 0.000 0.500
0.454 0.205 0.799
0.361 0.288 0.928
0.203 0.052 0.869
0.178 0.604 0.657
0.288 0.361 0.072
0.139 0.212 0.428
0.712 0.639 0.928
0.604 0.178 0.343
0.901 0.747 0.049
0.503 0.497 0.825
0.705 0.954 0.299
0.560 0.440 0.342
0.930 0.430 0.682
0.320 0.680 0.266
0.992 0.231 0.578
0.570 0.070 0.682
0.643 0.357 0.912
0.401 0.247 0.451
0.546 0.795 0.201
0.295 0.046 0.701
0.322 0.896 0.157
0.820 0.180 0.234
0.341 0.659 0.788
0.090 0.468 0.048
0.070 0.570 0.818
0.000 0.000 0.000
0.500 0.500 0.500
0.104 0.678 0.157
0.430 0.930 0.818
0.769 0.008 0.578
0.896 0.322 0.843
0.253 0.099 0.049
0.753 0.599 0.451
0.396 0.822 0.657
0.532 0.910 0.048
0.861 0.788 0.572
0.797 0.948 0.131
0.180 0.820 0.766
0.659 0.341 0.212
0.788 0.861 0.428
0.747 0.901 0.951
0.205 0.454 0.201
0.008 0.769 0.422
0.599 0.753 0.549
0.060 0.940 0.158
0.440 0.560 0.658
0.857 0.143 0.412
0.448 0.297 0.631
0.212 0.139 0.572
0.052 0.203 0.131
0.910 0.532 0.952
0.680 0.320 0.734
0.430 0.930 0.318
0.948 0.797 0.869
0.247 0.401 0.549
0.500 0.500 0.000
0.410 0.032 0.548
0.731 0.492 0.078
0.795 0.546 0.799
0.159 0.841 0.288
0.032 0.410 0.452
0.997 0.003 0.325
0.003 0.997 0.675
0.968 0.590 0.548
0.492 0.731 0.922
0.822 0.396 0.343
0.508 0.269 0.078
0.099 0.253 0.951
0.930 0.430 0.182
0.269 0.508 0.922
0.468 0.090 0.952
0.497 0.503 0.175
0.703 0.552 0.631
0.231 0.992 0.422
0.678 0.104 0.843
0.357 0.643 0.088
0.070 0.570 0.318
0.297 0.448 0.369
0.143 0.857 0.588
0.046 0.295 0.299
0.940 0.060 0.842
0.954 0.705 0.701
0.841 0.159 0.712
0.570 0.070 0.182
0.639 0.712 0.072
0.186 0.314 0.750
0.793 0.207 0.028
0.293 0.707 0.472
0.686 0.814 0.750
0.707 0.293 0.528
0.207 0.793 0.972
0.814 0.686 0.250
0.314 0.186 0.250
0.943 0.568 0.083
0.568 0.943 0.917
0.554 0.446 0.712
0.057 0.432 0.917
0.054 0.946 0.788
0.557 0.932 0.583
0.432 0.057 0.083
0.932 0.557 0.417
0.068 0.443 0.583
0.443 0.068 0.417
0.446 0.554 0.288
0.946 0.054 0.212
```


Entry 3:
Compound: Ta8NiC4S8
Source: the Materials Project
Functional: PBE-GGA
Structure: relaxed

Computed properties:
**Total magnetization**: 0.80 μB/cell
**MP2020-corrected energy**: -192.70 eV/f.u.
**Formation enthalpy at 0 K**: -22.05 eV per formula unit

Cell and atoms, written as POSCAR:
```
Ta8NiC4S8
1.0
-7.140 -4.530 4.032
-1.443 -6.187 6.883
-4.288 -0.427 8.317
Ta S C Ni
8 8 4 1
Direct
0.378 0.378 0.881
0.378 0.881 0.378
0.881 0.378 0.378
0.622 0.119 0.622
0.122 0.122 0.122
0.622 0.622 0.119
0.878 0.878 0.878
0.119 0.622 0.622
0.224 0.224 0.722
0.278 0.776 0.776
0.776 0.278 0.776
0.722 0.224 0.224
0.776 0.776 0.278
0.275 0.275 0.275
0.224 0.722 0.224
0.725 0.725 0.725
0.000 0.500 0.000
0.500 0.500 0.500
0.500 0.000 0.000
0.000 0.000 0.500
0.000 0.000 0.000
```


Entry 4:
Compound: ScNiC2
Source: the Materials Project
Functional: PBE-GGA
Structure: relaxed

Computed properties:
**Total magnetization**: 0.00 μB/cell
**Formation enthalpy at 0 K**: -1.13 eV per formula unit

Cell and atoms, written as POSCAR:
```
ScNiC2
1.0
3.373 0.000 0.000
0.000 3.373 0.000
0.000 0.000 7.253
C Sc Ni
4 2 2
Direct
0.000 0.500 0.164
0.000 0.500 0.354
0.500 0.000 0.646
0.500 0.000 0.836
0.000 0.500 0.657
0.500 0.000 0.343
0.500 0.500 0.000
0.000 0.000 0.000
```


Entry 5:
Compound: Ta6V3Ni3C2
Source: the Materials Project
Functional: PBE-GGA
Structure: relaxed

Computed properties:
**Total magnetization**: 0.00 μB/cell
**Formation enthalpy at 0 K**: -5.51 eV per formula unit

Cell and atoms, written as POSCAR:
```
Ta6V3Ni3C2
1.0
1.069 2.837 7.566
-3.419 7.077 -2.157
-3.989 -7.007 -1.192
Ta V C Ni
12 6 4 6
Direct
0.063 0.684 0.999
0.685 0.064 0.001
0.068 0.068 0.000
0.435 0.314 0.501
0.813 0.935 0.499
0.685 0.684 0.621
0.435 0.935 0.122
0.816 0.316 0.500
0.439 0.939 0.500
0.813 0.314 0.878
0.063 0.064 0.379
0.689 0.689 0.000
0.456 0.294 0.162
0.257 0.506 0.751
0.250 0.991 0.742
0.250 0.508 0.258
0.755 0.506 0.249
0.132 0.294 0.838
0.250 0.999 0.251
0.748 0.999 0.250
0.748 0.999 0.749
0.748 0.498 0.750
0.046 0.702 0.343
0.454 0.609 0.155
0.045 0.704 0.660
0.359 0.702 0.657
0.045 0.385 0.340
0.454 0.299 0.845
```


Entry 6:
Compound: Tb2Ni22C3
Source: the Materials Project
Functional: PBE-GGA
Structure: relaxed

Computed properties:
**Total magnetization**: 1.25 μB/cell
**Formation enthalpy at 0 K**: -3.46 eV per formula unit

Cell and atoms, written as POSCAR:
```
Tb2Ni22C3
1.0
-5.638 -7.472 0.000
-5.638 7.472 0.000
0.000 0.000 -14.566
Ni C Tb
88 12 8
Direct
0.491 0.732 0.922
0.572 0.070 0.682
0.793 0.547 0.799
0.939 0.061 0.842
0.570 0.072 0.182
0.356 0.644 0.086
0.641 0.712 0.073
0.842 0.158 0.712
0.821 0.396 0.344
0.061 0.939 0.158
0.321 0.896 0.156
0.104 0.679 0.156
0.681 0.319 0.733
0.644 0.356 0.914
0.410 0.032 0.548
0.500 0.500 0.500
0.000 0.000 0.000
0.949 0.797 0.870
0.819 0.181 0.233
0.402 0.248 0.450
0.561 0.439 0.342
0.000 0.000 0.500
0.342 0.658 0.788
0.158 0.842 0.288
0.509 0.268 0.078
0.928 0.430 0.182
0.207 0.453 0.201
0.551 0.703 0.370
0.532 0.910 0.048
0.502 0.498 0.825
0.752 0.598 0.450
0.144 0.856 0.586
0.179 0.604 0.656
0.032 0.410 0.452
0.679 0.104 0.844
0.439 0.561 0.658
0.002 0.998 0.675
0.359 0.288 0.927
0.181 0.819 0.767
0.604 0.179 0.344
0.449 0.297 0.630
0.212 0.141 0.573
0.293 0.047 0.701
0.797 0.949 0.130
0.430 0.928 0.818
0.658 0.342 0.212
0.428 0.930 0.318
0.248 0.402 0.550
0.968 0.590 0.548
0.547 0.793 0.201
0.910 0.532 0.952
0.268 0.509 0.922
0.288 0.359 0.073
0.072 0.570 0.818
0.319 0.681 0.267
0.297 0.449 0.370
0.498 0.502 0.175
0.070 0.572 0.318
0.703 0.551 0.630
0.788 0.859 0.427
0.047 0.293 0.299
0.902 0.748 0.050
0.953 0.707 0.701
0.748 0.902 0.950
0.232 0.991 0.422
0.051 0.203 0.130
0.896 0.321 0.844
0.590 0.968 0.452
0.991 0.232 0.578
0.396 0.821 0.656
0.098 0.252 0.950
0.712 0.641 0.927
0.707 0.953 0.299
0.252 0.098 0.050
0.203 0.051 0.870
0.859 0.788 0.573
0.998 0.002 0.325
0.732 0.491 0.078
0.768 0.009 0.578
0.090 0.468 0.048
0.500 0.500 0.000
0.598 0.752 0.550
0.453 0.207 0.799
0.009 0.768 0.422
0.468 0.090 0.952
0.930 0.428 0.682
0.856 0.144 0.414
0.141 0.212 0.427
0.432 0.058 0.084
0.945 0.055 0.212
0.942 0.568 0.084
0.445 0.555 0.288
0.568 0.942 0.916
0.932 0.558 0.416
0.055 0.945 0.788
0.555 0.445 0.712
0.068 0.442 0.584
0.058 0.432 0.916
0.558 0.932 0.584
0.442 0.068 0.416
0.793 0.207 0.028
0.815 0.685 0.250
0.207 0.793 0.972
0.185 0.315 0.750
0.293 0.707 0.472
0.685 0.815 0.750
0.707 0.293 0.528
0.315 0.185 0.250
```